[1]
## Pr3Ge13Pt4 (PBE)

Data for a relaxed Pr3Ge13Pt4 crystal.

Lattice parameters (Å, degrees): 9.237 9.237 9.263 90.29 90.29 90.03
Element x y z (fractional)
Pr  0.000  0.000  0.000
Pr  0.000  0.000  0.500
Pr  0.251  0.500  0.249
Pr  0.500  0.251  0.749
Pr  0.501  0.745  0.751
Pr  0.745  0.501  0.251
Ge  0.000  0.331  0.098
Ge  0.003  0.622  0.483
Ge  0.114  0.250  0.751
Ge  0.128  0.787  0.750
Ge  0.159  0.833  0.250
Ge  0.250  0.114  0.251
Ge  0.312  0.498  0.612
Ge  0.331  0.000  0.598
Ge  0.334  0.999  0.907
Ge  0.337  0.498  0.915
Ge  0.498  0.312  0.112
Ge  0.498  0.337  0.415
Ge  0.498  0.739  0.139
Ge  0.502  0.997  0.247
Ge  0.503  0.653  0.420
Ge  0.615  0.997  0.503
Ge  0.622  0.003  0.983
Ge  0.653  0.503  0.920
Ge  0.739  0.498  0.639
Ge  0.787  0.128  0.250
Ge  0.829  0.849  0.752
Ge  0.833  0.159  0.750
Ge  0.849  0.829  0.252
Ge  0.997  0.502  0.747
Ge  0.997  0.615  0.003
Ge  0.999  0.334  0.407
Pt  0.245  0.248  0.499
Pt  0.248  0.245  0.999
Pt  0.251  0.749  0.501
Pt  0.252  0.747  0.000
Pt  0.747  0.252  0.500
Pt  0.749  0.251  0.001
Pt  0.750  0.753  0.004
Pt  0.753  0.750  0.504

- ΔH_f (0 K) (meV/atom) = -521
- total magnetic moment (μB/cell) = 0.00
- space-group type = No. 9
- volume (A^3/atom) = 19.8

***

[2]
## Na3YH12C3O15 (PBE)

Data for a relaxed Na3YH12C3O15 crystal.

Lattice parameters (Å, degrees): 11.683 11.683 5.859 90.00 90.00 120.00
Element x y z (fractional)
Na  0.004  0.638  0.000
Na  0.362  0.366  0.000
Na  0.366  0.004  0.500
Na  0.634  0.996  0.000
Na  0.638  0.634  0.500
Na  0.996  0.362  0.500
Y  0.333  0.667  0.239
Y  0.667  0.333  0.739
H  0.001  0.869  0.767
H  0.095  0.236  0.870
H  0.112  0.680  0.477
H  0.131  0.132  0.767
H  0.132  0.001  0.267
H  0.141  0.905  0.870
H  0.218  0.718  0.681
H  0.236  0.141  0.370
H  0.282  0.500  0.681
H  0.320  0.431  0.477
H  0.431  0.112  0.977
H  0.500  0.218  0.181
H  0.500  0.782  0.681
H  0.569  0.888  0.477
H  0.680  0.569  0.977
H  0.718  0.500  0.181
H  0.764  0.859  0.870
H  0.782  0.282  0.181
H  0.859  0.095  0.370
H  0.868  0.999  0.767
H  0.869  0.868  0.267
H  0.888  0.320  0.977
H  0.905  0.764  0.370
H  0.999  0.131  0.267
C  0.125  0.444  0.006
C  0.319  0.875  0.006
C  0.444  0.319  0.506
C  0.556  0.681  0.006
C  0.681  0.125  0.506
C  0.875  0.556  0.506
O  0.035  0.347  0.890
O  0.044  0.855  0.898
O  0.097  0.498  0.174
O  0.145  0.188  0.898
O  0.188  0.044  0.398
O  0.205  0.701  0.513
O  0.241  0.749  0.958
O  0.251  0.492  0.958
O  0.299  0.503  0.513
O  0.312  0.965  0.890
O  0.347  0.312  0.390
O  0.400  0.903  0.174
O  0.492  0.241  0.458
O  0.497  0.795  0.513
O  0.498  0.400  0.674
O  0.502  0.600  0.174
O  0.503  0.205  0.013
O  0.508  0.759  0.958
O  0.600  0.097  0.674
O  0.653  0.688  0.890
O  0.688  0.035  0.390
O  0.701  0.497  0.013
O  0.749  0.508  0.458
O  0.759  0.251  0.458
O  0.795  0.299  0.013
O  0.812  0.956  0.898
O  0.855  0.812  0.398
O  0.903  0.502  0.674
O  0.956  0.145  0.398
O  0.965  0.653  0.390

- ΔH_f (0 K) (meV/atom) = -1784
- total magnetic moment (μB/cell) = 0.00
- space-group type = No. 173
- volume (A^3/atom) = 10.2
- E (MP2020) (eV per atom) = -6.286